{"formula": "Li3ScCl6", "functional": "meta-GGA r2SCAN", "state": "relaxed", "lattice": [[5.464, 3.166, -0.006], [-5.464, 3.166, -0.006], [0.000, 2.200, 23.837]], "species": ["Li", "Li", "Li", "Li", "Li", "Li", "Li", "Li", "Li", "Li", "Li", "Li", "Sc", "Sc", "Sc", "Sc", "Cl", "Cl", "Cl", "Cl", "Cl", "Cl", "Cl", "Cl", "Cl", "Cl", "Cl", "Cl", "Cl", "Cl", "Cl", "Cl", "Cl", "Cl", "Cl", "Cl", "Cl", "Cl", "Cl", "Cl"], "fractional_positions": [[0.082, 0.169, 0.625], [0.831, 0.918, 0.375], [0.582, 0.662, 0.125], [0.420, 0.831, 0.625], [0.338, 0.418, 0.875], [0.709, 0.791, 0.750], [0.169, 0.580, 0.375], [0.625, 0.375, 0.000], [0.459, 0.541, 0.500], [0.917, 0.337, 0.125], [0.209, 0.291, 0.250], [0.663, 0.083, 0.875], [0.752, 0.499, 0.625], [0.501, 0.248, 0.375], [0.248, 0.997, 0.125], [0.003, 0.752, 0.875], [0.417, 0.492, 0.686], [0.697, 0.457, 0.815], [0.167, 0.242, 0.436], [0.006, 0.087, 0.816], [0.439, 0.202, 0.566], [0.913, 0.994, 0.184], [0.758, 0.833, 0.564], [0.729, 0.146, 0.683], [0.188, 0.951, 0.317], [0.049, 0.812, 0.683], [0.656, 0.719, 0.936], [0.508, 0.583, 0.314], [0.479, 0.896, 0.433], [0.352, 0.767, 0.817], [0.935, 0.687, 0.068], [0.798, 0.561, 0.434], [0.281, 0.344, 0.064], [0.233, 0.648, 0.183], [0.104, 0.521, 0.567], [0.543, 0.303, 0.185], [0.968, 0.400, 0.934], [0.854, 0.271, 0.317], [0.313, 0.065, 0.932], [0.600, 0.032, 0.066]], "e_form_mev_per_atom": -2151, "sg": "C2, No. 5", "rho_g_cm3": 2.24}